DFT (GGA-PBE) results for a relaxed structure of CdCu2SiTe4.

Results
The value obtained for the energy of formation is -0.39 eV/atom. The space-group type is I-42m. As for the corrected total energy (MP2020 scheme): -3.776 eV/atom.

Unit cell a=7.4345 b=7.4345 c=7.4345 alpha=130.98 beta=130.98 gamma=71.85
Atoms (fractional coordinates):
Te: 0.8648 0.4040 0.0000
Te: 0.1352 0.1352 0.5392
Te: 0.5960 0.5960 0.4608
Te: 0.4040 0.8648 0.0000
Cu: 0.2500 0.7500 0.5000
Cu: 0.7500 0.2500 0.5000
Si: 0.5000 0.5000 0.0000
Cd: 0.0000 0.0000 0.0000